*1*
{"formula": "LaY", "functional": "GGA-PBE", "state": "relaxed", "sg": "R3m (160)", "rho_g_cm3": 5.375, "cell": [[1.838, 1.061, 18.050], [-1.838, 1.061, 18.050], [0.000, -2.122, 18.050]], "species": ["La", "La", "La", "Y", "Y", "Y"], "frac_coords": [[0.000, 0.000, 0.000], [0.223, 0.223, 0.223], [0.724, 0.724, 0.724], [0.114, 0.114, 0.114], [0.500, 0.500, 0.500], [0.612, 0.612, 0.612]]}

---

*2*
{"formula": "LaY", "functional": "GGA-PBE", "state": "relaxed", "sg": "P6_3/mmc (194)", "rho_g_cm3": 5.427, "cell": [[3.676, 0.000, 0.000], [-1.838, 3.184, 0.000], [0.000, 0.000, 11.913]], "species": ["La", "La", "Y", "Y"], "frac_coords": [[0.333, 0.667, 0.250], [0.667, 0.333, 0.750], [0.000, 0.000, 0.000], [0.000, 0.000, 0.500]]}

---

Least stable structure among those shown: *1*.